A | This record from the Materials Project database describes crystalline Mn3O4F2 at its relaxed geometry. The functional is PBE with a Hubbard U.

Calculated values
Theoretical density in g/cm³: 4.517
Total magnetic moment in μB/cell: 22.00
Volume in Å³ per cell: 196.1

```
data_Mn3O4F2
_cell_length_a 4.627
_cell_length_b 4.613
_cell_length_c 10.273
_cell_angle_alpha 90.00
_cell_angle_beta 116.56
_cell_angle_gamma 90.00
_symmetry_space_group_name_H-M 'P 1 21/c 1'
_symmetry_Int_Tables_number 14
_symmetry_space_group_name_Hall '-P 2ybc'
loop_
_atom_site_label
_atom_site_type_symbol
_atom_site_fract_x
_atom_site_fract_y
_atom_site_fract_z
Mn1 Mn 0.000 0.000 0.000
Mn2 Mn 0.310 0.020 0.340
O1 O 0.020 0.177 0.830
O2 O 0.309 0.692 0.001
F1 F 0.382 0.221 0.179
```

B | This record from the Materials Project database describes crystalline Mn3O4F2 at its relaxed geometry. The functional is PBE with a Hubbard U.

Calculated values
Theoretical density in g/cm³: 4.429
Total magnetic moment in μB/cell: 44.00
Volume in Å³ per cell: 400.1

```
data_Mn3O4F2
_cell_length_a 6.510
_cell_length_b 6.805
_cell_length_c 9.031
_cell_angle_alpha 90.00
_cell_angle_beta 90.00
_cell_angle_gamma 90.00
_symmetry_space_group_name_H-M 'C m m 2'
_symmetry_Int_Tables_number 35
_symmetry_space_group_name_Hall 'C 2 -2'
loop_
_atom_site_label
_atom_site_type_symbol
_atom_site_fract_x
_atom_site_fract_y
_atom_site_fract_z
Mn1 Mn 0.000 0.000 0.000
Mn2 Mn 0.000 0.000 0.316
Mn3 Mn 0.000 0.000 0.636
Mn4 Mn 0.000 0.500 0.134
Mn5 Mn 0.000 0.500 0.500
Mn6 Mn 0.000 0.500 0.819
O1 O 0.000 0.314 0.653
O2 O 0.000 0.316 0.986
O3 O 0.197 0.000 0.481
O4 O 0.199 0.000 0.154
F1 F 0.000 0.320 0.317
F2 F 0.180 0.000 0.819
```

C | This record from the Materials Project database describes crystalline Mn3O4F2 at its relaxed geometry. The functional is PBE with a Hubbard U.

Calculated values
Theoretical density in g/cm³: 4.514
Total magnetic moment in μB/cell: 22.00
Volume in Å³ per cell: 196.3

```
data_Mn3O4F2
_cell_length_a 4.626
_cell_length_b 5.557
_cell_length_c 7.660
_cell_angle_alpha 86.05
_cell_angle_beta 88.97
_cell_angle_gamma 87.94
_symmetry_space_group_name_H-M 'P 1'
_symmetry_Int_Tables_number 1
_symmetry_space_group_name_Hall 'P 1'
loop_
_atom_site_label
_atom_site_type_symbol
_atom_site_fract_x
_atom_site_fract_y
_atom_site_fract_z
Mn1 Mn 0.000 0.000 0.000
Mn2 Mn 0.004 0.351 0.692
Mn3 Mn 0.472 0.825 0.659
Mn4 Mn 0.498 0.508 0.010
Mn5 Mn 0.519 0.163 0.337
Mn6 Mn 0.984 0.676 0.333
O1 O 0.185 0.706 0.107
O2 O 0.201 0.050 0.774
O3 O 0.301 0.539 0.779
O4 O 0.306 0.879 0.435
O5 O 0.692 0.462 0.239
O6 O 0.805 0.962 0.229
O7 O 0.806 0.302 0.909
O8 O 0.806 0.636 0.571
F1 F 0.197 0.372 0.445
F2 F 0.297 0.203 0.111
F3 F 0.686 0.811 0.887
F4 F 0.708 0.142 0.579
```

D | This record from the Materials Project database describes crystalline Mn3O4F2 at its relaxed geometry. The functional is PBE with a Hubbard U.

Calculated values
Theoretical density in g/cm³: 4.442
Total magnetic moment in μB/cell: 22.00
Volume in Å³ per cell: 199.5

```
data_Mn3O4F2
_cell_length_a 4.712
_cell_length_b 5.543
_cell_length_c 7.726
_cell_angle_alpha 84.16
_cell_angle_beta 85.26
_cell_angle_gamma 85.07
_symmetry_space_group_name_H-M 'P 1'
_symmetry_Int_Tables_number 1
_symmetry_space_group_name_Hall 'P 1'
loop_
_atom_site_label
_atom_site_type_symbol
_atom_site_fract_x
_atom_site_fract_y
_atom_site_fract_z
Mn1 Mn 0.000 0.000 0.000
Mn2 Mn 0.001 0.328 0.666
Mn3 Mn 0.463 0.476 0.986
Mn4 Mn 0.469 0.148 0.318
Mn5 Mn 0.481 0.809 0.666
Mn6 Mn 0.975 0.646 0.325
O1 O 0.176 0.020 0.766
O2 O 0.179 0.351 0.426
O3 O 0.187 0.696 0.097
O4 O 0.282 0.198 0.089
O5 O 0.305 0.528 0.772
O6 O 0.784 0.280 0.893
O7 O 0.788 0.953 0.226
O8 O 0.791 0.612 0.560
F1 F 0.287 0.857 0.423
F2 F 0.660 0.101 0.555
F3 F 0.660 0.443 0.215
F4 F 0.685 0.768 0.910
```

It is B that is the least stable of them.

A | This record from the Materials Project database describes crystalline Mn3O4F2 at its relaxed geometry. The functional is PBE with a Hubbard U.

Calculated values
Theoretical density in g/cm³: 4.438
Total magnetic moment in μB/cell: 44.01
Volume in Å³ per cell: 399.3

```
data_Mn3O4F2
_cell_length_a 9.170
_cell_length_b 6.298
_cell_length_c 7.695
_cell_angle_alpha 90.00
_cell_angle_beta 116.02
_cell_angle_gamma 90.00
_symmetry_space_group_name_H-M 'C 1 m 1'
_symmetry_Int_Tables_number 8
_symmetry_space_group_name_Hall 'C -2y'
loop_
_atom_site_label
_atom_site_type_symbol
_atom_site_fract_x
_atom_site_fract_y
_atom_site_fract_z
Mn1 Mn 0.000 0.000 0.000
Mn2 Mn 0.003 0.000 0.479
Mn3 Mn 0.167 0.500 0.669
Mn4 Mn 0.180 0.500 0.138
Mn5 Mn 0.343 0.000 0.316
Mn6 Mn 0.348 0.000 0.821
O1 O 0.005 0.303 0.491
O2 O 0.073 0.500 0.868
O3 O 0.174 0.196 0.153
O4 O 0.343 0.306 0.822
O5 O 0.402 0.500 0.188
F1 F 0.117 0.000 0.782
F2 F 0.229 0.000 0.515
F3 F 0.274 0.500 0.436
F4 F 0.460 0.000 0.129
```

B | This record from the Materials Project database describes crystalline Mn3O4F2 at its relaxed geometry. The functional is PBE with a Hubbard U.

Calculated values
Theoretical density in g/cm³: 4.505
Total magnetic moment in μB/cell: 22.00
Volume in Å³ per cell: 196.7

```
data_Mn3O4F2
_cell_length_a 9.255
_cell_length_b 4.628
_cell_length_c 4.592
_cell_angle_alpha 90.00
_cell_angle_beta 90.00
_cell_angle_gamma 90.00
_symmetry_space_group_name_H-M 'P m n 21'
_symmetry_Int_Tables_number 31
_symmetry_space_group_name_Hall 'P 2ac -2'
loop_
_atom_site_label
_atom_site_type_symbol
_atom_site_fract_x
_atom_site_fract_y
_atom_site_fract_z
Mn1 Mn 0.000 0.247 0.000
Mn2 Mn 0.160 0.779 0.471
O1 O 0.000 0.573 0.284
O2 O 0.000 0.965 0.676
O3 O 0.172 0.061 0.167
F1 F 0.170 0.454 0.775
```

C | This record from the Materials Project database describes crystalline Mn3O4F2 at its relaxed geometry. The functional is PBE with a Hubbard U.

Calculated values
Theoretical density in g/cm³: 4.502
Total magnetic moment in μB/cell: 44.00
Volume in Å³ per cell: 393.6

```
data_Mn3O4F2
_cell_length_a 6.531
_cell_length_b 19.551
_cell_length_c 3.083
_cell_angle_alpha 90.00
_cell_angle_beta 90.00
_cell_angle_gamma 90.00
_symmetry_space_group_name_H-M 'C m m m'
_symmetry_Int_Tables_number 65
_symmetry_space_group_name_Hall '-C 2 2'
loop_
_atom_site_label
_atom_site_type_symbol
_atom_site_fract_x
_atom_site_fract_y
_atom_site_fract_z
Mn1 Mn 0.000 0.000 0.000
Mn2 Mn 0.000 0.159 0.500
Mn3 Mn 0.000 0.340 0.000
Mn4 Mn 0.000 0.500 0.500
O1 O 0.000 0.063 0.500
O2 O 0.000 0.401 0.500
O3 O 0.192 0.166 0.000
F1 F 0.000 0.267 0.500
F2 F 0.193 0.500 0.000
```

It is C that is the least stable of them.

A | This record from the Materials Project database describes crystalline MoF6 at its relaxed geometry. The functional is PBE with a Hubbard U.

Calculated values
Theoretical density in g/cm³: 2.947
Volume in Å³ per cell: 473.2

```
data_MoF6
_cell_length_a 10.078
_cell_length_b 9.011
_cell_length_c 5.211
_cell_angle_alpha 90.00
_cell_angle_beta 90.00
_cell_angle_gamma 90.00
_symmetry_space_group_name_H-M 'P n m a'
_symmetry_Int_Tables_number 62
_symmetry_space_group_name_Hall '-P 2ac 2n'
loop_
_atom_site_label
_atom_site_type_symbol
_atom_site_fract_x
_atom_site_fract_y
_atom_site_fract_z
Mo1 Mo 0.134 0.250 0.068
F1 F 0.011 0.250 0.800
F2 F 0.036 0.104 0.238
F3 F 0.231 0.103 0.899
F4 F 0.242 0.750 0.835
```

B | This record from the Materials Project database describes crystalline MoF6 at its relaxed geometry. The functional is PBE with a Hubbard U.

Calculated values
Theoretical density in g/cm³: 2.472
Volume in Å³ per cell: 282.0

```
data_MoF6
_cell_length_a 6.558
_cell_length_b 6.558
_cell_length_c 6.558
_cell_angle_alpha 90.00
_cell_angle_beta 90.00
_cell_angle_gamma 90.00
_symmetry_space_group_name_H-M 'I m -3 m'
_symmetry_Int_Tables_number 229
_symmetry_space_group_name_Hall '-I 4 2 3'
loop_
_atom_site_label
_atom_site_type_symbol
_atom_site_fract_x
_atom_site_fract_y
_atom_site_fract_z
Mo1 Mo 0.000 0.000 0.000
F1 F 0.000 0.000 0.285
```

It is B that is the least stable of them.

A | This record from the Materials Project database describes crystalline NiNF3 at its relaxed geometry. The functional is PBE with a Hubbard U.

Calculated values
Theoretical density in g/cm³: 3.470
Total magnetic moment in μB/cell: 24.01
Volume in Å³ per cell: 372.4

```
data_NiNF3
_cell_length_a 5.4973
_cell_length_b 5.4973
_cell_length_c 14.2294
_cell_angle_alpha 90.00
_cell_angle_beta 90.00
_cell_angle_gamma 120.00
_symmetry_space_group_name_H-M 'P 63/m m c'
_symmetry_Int_Tables_number 194
_symmetry_space_group_name_Hall '-P 6c 2c'
loop_
_atom_site_label
_atom_site_type_symbol
_atom_site_fract_x
_atom_site_fract_y
_atom_site_fract_z
Ni1 Ni 0.0000 0.0000 0.0000
Ni2 Ni 0.3333 0.6667 0.1555
N1 N 0.0000 0.0000 0.2500
N2 N 0.3333 0.6667 0.5975
F1 F 0.0283 0.5141 0.2500
F2 F 0.1651 0.3302 0.0791
```

B | This record from the Materials Project database describes crystalline NiNF3 at its relaxed geometry. The functional is PBE with a Hubbard U.

Calculated values
Theoretical density in g/cm³: 3.551
Total magnetic moment in μB/cell: 2.09
Volume in Å³ per cell: 60.6

```
data_NiNF3
_cell_length_a 3.929
_cell_length_b 3.929
_cell_length_c 3.929
_cell_angle_alpha 90.00
_cell_angle_beta 90.00
_cell_angle_gamma 90.00
_symmetry_space_group_name_H-M 'P m -3 m'
_symmetry_Int_Tables_number 221
_symmetry_space_group_name_Hall '-P 4 2 3'
loop_
_atom_site_label
_atom_site_type_symbol
_atom_site_fract_x
_atom_site_fract_y
_atom_site_fract_z
Ni1 Ni 0.000 0.000 0.000
N1 N 0.500 0.500 0.500
F1 F 0.000 0.000 0.500
```

It is B that is the least stable of them.

A | This record from the Materials Project database describes crystalline NaVF3 at its relaxed geometry. The functional is PBE with a Hubbard U.

Calculated values
Theoretical density in g/cm³: 3.375
Volume in Å³ per cell: 257.7

```
data_NaVF3
_cell_length_a 5.806
_cell_length_b 7.986
_cell_length_c 5.558
_cell_angle_alpha 90.00
_cell_angle_beta 90.00
_cell_angle_gamma 90.00
_symmetry_space_group_name_H-M 'P n m a'
_symmetry_Int_Tables_number 62
_symmetry_space_group_name_Hall '-P 2ac 2n'
loop_
_atom_site_label
_atom_site_type_symbol
_atom_site_fract_x
_atom_site_fract_y
_atom_site_fract_z
Na1 Na 0.064 0.250 0.019
V1 V 0.000 0.000 0.500
F1 F 0.050 0.750 0.375
F2 F 0.194 0.563 0.811
```

B | This record from the Materials Project database describes crystalline NaVF3 at its relaxed geometry. The functional is PBE with a Hubbard U.

Calculated values
Theoretical density in g/cm³: 3.003
Total magnetic moment in μB/cell: 3.00
Volume in Å³ per cell: 72.4

```
data_NaVF3
_cell_length_a 4.168
_cell_length_b 4.168
_cell_length_c 4.168
_cell_angle_alpha 90.00
_cell_angle_beta 90.00
_cell_angle_gamma 90.00
_symmetry_space_group_name_H-M 'P m -3 m'
_symmetry_Int_Tables_number 221
_symmetry_space_group_name_Hall '-P 4 2 3'
loop_
_atom_site_label
_atom_site_type_symbol
_atom_site_fract_x
_atom_site_fract_y
_atom_site_fract_z
Na1 Na 0.000 0.000 0.000
V1 V 0.500 0.500 0.500
F1 F 0.000 0.500 0.500
```

It is B that is the least stable of them.

A | This record from the Materials Project database describes crystalline Ni3OF5 at its relaxed geometry. The functional is PBE with a Hubbard U.

Calculated values
Theoretical density in g/cm³: 4.657
Total magnetic moment in μB/cell: 28.00
Volume in Å³ per cell: 409.4

```
data_Ni3OF5
_cell_length_a 9.042
_cell_length_b 6.691
_cell_length_c 7.279
_cell_angle_alpha 90.00
_cell_angle_beta 111.63
_cell_angle_gamma 90.00
_symmetry_space_group_name_H-M 'C 1 2/m 1'
_symmetry_Int_Tables_number 12
_symmetry_space_group_name_Hall '-C 2y'
loop_
_atom_site_label
_atom_site_type_symbol
_atom_site_fract_x
_atom_site_fract_y
_atom_site_fract_z
Ni1 Ni 0.000 0.000 0.000
Ni2 Ni 0.000 0.000 0.500
Ni3 Ni 0.159 0.500 0.163
Ni4 Ni 0.163 0.500 0.672
O1 O 0.067 0.500 0.869
F1 F 0.000 0.302 0.500
F2 F 0.105 0.000 0.798
F3 F 0.165 0.196 0.167
F4 F 0.235 0.000 0.535
```

B | This record from the Materials Project database describes crystalline Ni3OF5 at its relaxed geometry. The functional is PBE with a Hubbard U.

Calculated values
Theoretical density in g/cm³: 4.629
Total magnetic moment in μB/cell: 0.00
Volume in Å³ per cell: 206.0

```
data_Ni3OF5
_cell_length_a 9.296
_cell_length_b 4.711
_cell_length_c 4.702
_cell_angle_alpha 90.00
_cell_angle_beta 90.00
_cell_angle_gamma 90.00
_symmetry_space_group_name_H-M 'P m n 21'
_symmetry_Int_Tables_number 31
_symmetry_space_group_name_Hall 'P 2ac -2'
loop_
_atom_site_label
_atom_site_type_symbol
_atom_site_fract_x
_atom_site_fract_y
_atom_site_fract_z
Ni1 Ni 0.000 0.237 0.000
Ni2 Ni 0.163 0.752 0.516
O1 O 0.000 0.940 0.707
F1 F 0.000 0.544 0.308
F2 F 0.167 0.052 0.208
F3 F 0.169 0.443 0.816
```

It is A that is the least stable of them.